(1)
First-principles (GGA+U) data for an optimized crystal structure of Li2VPO5, as listed in the Materials Project.

Values from the calculation:
- Mass density: 3.1 g/cm3
- V: 10.5 Å³ per atom
- Energy above the lowest structure with this stoichiometry: 0.010 eV/f.u.
- Formation energy: -2.6260 eV/atom
- MP2020-corrected energy: -7.41 eV per atom

Cell: 5.1302 12.6666 13.1719 Å, 61.98 90.00 90.00°
Last column: nearest neighbours and their distance in Å.
Positions (direct):
Li  0.7318  0.8199  0.3593  4 O 2.01-2.13
Li  0.7639  0.3408  0.0886  3 O 2.01-2.04
Li  0.2177  0.1772  0.1489  4 O 2.02-2.20
Li  0.7282  0.5760  0.5871  4 O 2.04-2.17
Li  0.2282  0.9240  0.4129  4 O 2.04-2.17
Li  0.7177  0.3228  0.8511  4 O 2.02-2.20
Li  0.7682  0.3199  0.3593  4 O 2.01-2.13
Li  0.7361  0.8408  0.0886  3 O 2.01-2.04
Li  0.2639  0.1592  0.9114  3 O 2.01-2.04
Li  0.2318  0.6801  0.6407  4 O 2.01-2.13
Li  0.2823  0.6772  0.1489  4 O 2.02-2.20
Li  0.7718  0.0760  0.5871  4 O 2.04-2.17
Li  0.2718  0.4240  0.4129  4 O 2.04-2.17
Li  0.7823  0.8228  0.8511  4 O 2.02-2.20
Li  0.2361  0.6592  0.9114  3 O 2.01-2.04
Li  0.2682  0.1801  0.6407  4 O 2.01-2.13
V  0.7301  0.1336  0.0593  4 O 1.88-2.10
V  0.2611  0.6923  0.4386  4 O 1.86-2.08
V  0.7699  0.6336  0.0593  4 O 1.88-2.10
V  0.7611  0.8077  0.5614  4 O 1.86-2.08
V  0.2389  0.1923  0.4386  4 O 1.86-2.08
V  0.2301  0.3664  0.9407  4 O 1.88-2.10
V  0.7389  0.3077  0.5614  4 O 1.86-2.08
V  0.2699  0.8664  0.9407  4 O 1.88-2.10
P  0.2204  0.9278  0.1610  4 O 1.54-1.56
P  0.2326  0.4136  0.6631  4 O 1.54-1.56
P  0.2796  0.4278  0.1610  4 O 1.54-1.56
P  0.7326  0.0864  0.3369  4 O 1.54-1.56
P  0.2674  0.9136  0.6631  4 O 1.54-1.56
P  0.7204  0.5722  0.8390  4 O 1.54-1.56
P  0.7674  0.5864  0.3369  4 O 1.54-1.56
P  0.7796  0.0722  0.8390  4 O 1.54-1.56
O  0.9264  0.9553  0.1292  1 P 1.56
O  0.0275  0.2252  0.9892  2 V 1.88-1.90, 1 Li 2.01
O  0.3757  0.0446  0.1248  1 P 1.54
O  0.6190  0.6563  0.3878  1 P 1.54
O  0.2453  0.8528  0.2932  1 P 1.55
O  0.1556  0.3578  0.1020  1 P 1.56
O  0.8093  0.1439  0.2073  1 P 1.56
O  0.9330  0.4073  0.6452  1 P 1.56
O  0.9640  0.7210  0.5034  2 V 1.86-1.91, 2 Li 2.04-2.09
O  0.5736  0.4553  0.1292  1 P 1.56
O  0.4725  0.7252  0.9892  2 V 1.88-1.90, 1 Li 2.01
O  0.3292  0.5458  0.6034  1 P 1.56
O  0.8292  0.9542  0.3966  1 P 1.56
O  0.1243  0.5446  0.1248  1 P 1.54
O  0.4640  0.7790  0.4966  2 V 1.86-1.91, 2 Li 2.04-2.09
O  0.4330  0.0927  0.3548  1 P 1.56
O  0.8810  0.1563  0.3878  1 P 1.54
O  0.2547  0.3528  0.2932  1 P 1.55
O  0.3093  0.3561  0.7927  1 P 1.56
O  0.6556  0.1422  0.8980  1 P 1.56
O  0.3444  0.8578  0.1020  1 P 1.56
O  0.6907  0.6439  0.2073  1 P 1.56
O  0.7453  0.6472  0.7068  1 P 1.55
O  0.1190  0.8437  0.6122  1 P 1.54
O  0.5670  0.9073  0.6452  1 P 1.56
O  0.5360  0.2210  0.5034  2 V 1.86-1.91, 2 Li 2.04-2.09
O  0.8757  0.4554  0.8752  1 P 1.54
O  0.1708  0.0458  0.6034  1 P 1.56
O  0.6708  0.4542  0.3966  1 P 1.56
O  0.5275  0.2748  0.0108  2 V 1.88-1.90, 1 Li 2.01
O  0.4264  0.5447  0.8708  1 P 1.56
O  0.0360  0.2790  0.4966  2 V 1.86-1.91, 2 Li 2.04-2.09
O  0.0670  0.5927  0.3548  1 P 1.56
O  0.1907  0.8561  0.7927  1 P 1.56
O  0.8444  0.6422  0.8980  1 P 1.56
O  0.7547  0.1472  0.7068  1 P 1.55
O  0.3810  0.3437  0.6122  1 P 1.54
O  0.6243  0.9554  0.8752  1 P 1.54
O  0.9725  0.7748  0.0108  2 V 1.88-1.90, 1 Li 2.01
O  0.0736  0.0447  0.8708  1 P 1.56

---

(2)
First-principles (GGA+U) data for an optimized crystal structure of Li7V3P8O29, as listed in the Materials Project.

Values from the calculation:
- Mass density: 2.6 g/cm3
- V: 12.5 Å³ per atom
- Energy above the lowest structure with this stoichiometry: 0.731 eV/f.u.
- Formation energy: -2.6773 eV/atom
- MP2020-corrected energy: -7.52 eV per atom

Cell: 9.8590 9.8613 13.9451 Å, 90.73 89.76 119.93°
Last column: nearest neighbours and their distance in Å.
Positions (direct):
Li  0.3251  0.6779  0.3882  1 O 1.86
Li  0.3349  0.6750  0.8871  1 O 1.87
Li  0.6773  0.7674  0.0623  4 O 1.97-2.14
Li  0.0910  0.3235  0.0650  4 O 1.99-2.12
Li  0.7646  0.6700  0.4379  4 O 1.94-2.15
Li  0.2307  0.3208  0.5645  4 O 1.99-2.13
Li  0.9029  0.6661  0.9379  4 O 1.95-2.18
Li  0.3354  0.2361  0.9381  4 O 1.92-2.11
Li  0.6644  0.3370  0.6142  1 O 1.86
Li  0.3259  0.0927  0.4377  3 O 1.93-1.99
Li  0.9040  0.2275  0.4376  4 O 1.92-2.14
Li  0.7643  0.0997  0.9411  3 O 1.98-2.03
Li  0.0378  0.9771  0.0056  2 O 1.97
Li  0.9694  0.9450  0.5063  2 O 1.98-2.01
V  0.5665  0.5656  0.2501  6 O 1.87-2.00
V  0.4360  0.4356  0.7513  6 O 2.02-2.07
V  0.0022  0.5663  0.7486  6 O 1.84-2.02
V  0.9986  0.4361  0.2505  6 O 1.99-2.08
V  0.4364  0.0000  0.2472  6 O 1.86-2.03
V  0.5632  0.0002  0.7465  6 O 1.86-2.04
P  0.2214  0.9153  0.8396  4 O 1.50-1.61
P  0.0874  0.7834  0.3389  4 O 1.50-1.62
P  0.6892  0.9118  0.3410  4 O 1.50-1.61
P  0.3393  0.6671  0.1281  4 O 1.50-1.58
P  0.3300  0.6640  0.6277  4 O 1.49-1.58
P  0.6834  0.7768  0.8409  4 O 1.52-1.60
P  0.7760  0.6813  0.6562  4 O 1.50-1.62
P  0.0892  0.3186  0.8457  4 O 1.51-1.62
P  0.9126  0.6852  0.1538  4 O 1.51-1.60
P  0.2285  0.3206  0.3452  4 O 1.51-1.62
P  0.3130  0.2258  0.1602  4 O 1.51-1.61
P  0.6631  0.3300  0.3735  4 O 1.51-1.58
P  0.6708  0.3327  0.8726  4 O 1.49-1.59
P  0.3141  0.0867  0.6524  4 O 1.50-1.61
P  0.9088  0.2251  0.6587  4 O 1.51-1.61
P  0.7706  0.0827  0.1555  4 O 1.52-1.62
O  0.2354  0.0051  0.5607  1 P 1.50
O  0.2550  0.9255  0.3403  1 P 1.54
O  0.9794  0.7722  0.0616  1 P 1.51
O  0.0804  0.7472  0.8432  1 P 1.54
O  0.3746  0.9076  0.8347  1 P 1.55
O  0.3389  0.8124  0.1777  1 P 1.58
O  0.5285  0.9034  0.3348  1 P 1.55
O  0.7650  0.9954  0.0639  1 P 1.52
O  0.6689  0.9256  0.8413  1 P 1.54
O  0.1812  0.6570  0.6754  1 P 1.58
O  0.1008  0.6341  0.3337  1 P 1.54
O  0.4704  0.8146  0.6759  1 P 1.58
O  0.3498  0.6793  0.0208  1 P 1.50
O  0.3276  0.6738  0.5214  1 P 1.49
O  0.4936  0.6749  0.1663  1 P 1.58
O  0.1071  0.4829  0.8337  1 P 1.55
O  0.1930  0.5157  0.1624  1 P 1.55
O  0.6575  0.7396  0.3419  1 P 1.57
O  0.7826  0.7884  0.7469  2 P 1.60-1.62
O  0.7843  0.7676  0.5662  1 P 1.50
O  0.7727  0.7720  0.9280  1 P 1.52
O  0.5178  0.6331  0.8314  1 P 1.54
O  0.3326  0.5165  0.6608  1 P 1.54
O  0.7452  0.6646  0.1650  1 P 1.57
O  0.3726  0.4849  0.3291  1 P 1.55
O  0.0814  0.3357  0.3471  1 P 1.53
O  0.0135  0.8010  0.2397  2 P 1.60-1.62
O  0.9886  0.7928  0.4183  1 P 1.50
O  0.0000  0.2282  0.5703  1 P 1.51
O  0.9199  0.6621  0.6657  1 P 1.53
O  0.6279  0.5191  0.6659  1 P 1.54
O  0.2516  0.3339  0.8468  1 P 1.53
O  0.6680  0.4811  0.3345  1 P 1.57
O  0.4668  0.3849  0.1739  1 P 1.56
O  0.2252  0.2235  0.0704  1 P 1.52
O  0.2422  0.2389  0.4325  1 P 1.51
O  0.2077  0.2117  0.2522  2 P 1.61-1.62
O  0.3293  0.2492  0.6604  1 P 1.54
O  0.8185  0.4809  0.8286  1 P 1.59
O  0.9093  0.5312  0.1649  1 P 1.51
O  0.5204  0.3316  0.8380  1 P 1.56
O  0.6860  0.3323  0.9787  1 P 1.49
O  0.6482  0.3250  0.4812  1 P 1.51
O  0.5141  0.1819  0.3301  1 P 1.58
O  0.8939  0.3744  0.6691  1 P 1.56
O  0.8107  0.3255  0.3399  1 P 1.55
O  0.3447  0.0906  0.1616  1 P 1.51
O  0.2051  0.9863  0.7400  2 P 1.61
O  0.2112  0.0133  0.9197  1 P 1.50
O  0.4802  0.1071  0.6686  1 P 1.56
O  0.6678  0.1831  0.8263  1 P 1.59
O  0.6218  0.0932  0.1709  1 P 1.54
O  0.9185  0.2439  0.1605  1 P 1.53
O  0.9947  0.2338  0.9331  1 P 1.51
O  0.0014  0.2157  0.7513  2 P 1.61-1.62
O  0.7449  0.0821  0.6606  1 P 1.53
O  0.7947  0.0036  0.4226  1 P 1.50
O  0.7823  0.9818  0.2423  2 P 1.61-1.62

---

(3)
First-principles (GGA+U) data for an optimized crystal structure of Li6V9P8O32, as listed in the Materials Project.

Values from the calculation:
- Mass density: 3.3 g/cm3
- V: 11.7 Å³ per atom
- Formation energy: -2.5568 eV/atom
- MP2020-corrected energy: -7.92 eV per atom

Cell: 8.8569 8.9744 9.0696 Å, 100.01 109.99 101.37°
Last column: nearest neighbours and their distance in Å.
Positions (direct):
Li  0.8738  0.6363  0.9923  3 O 1.95-2.08
Li  0.7670  0.0309  0.2771  3 O 2.01-2.16
Li  0.3041  0.2994  0.3424  4 O 1.93-2.11
Li  0.6959  0.7006  0.6576  4 O 1.93-2.11
Li  0.2330  0.9691  0.7229  3 O 2.01-2.16
Li  0.1262  0.3637  0.0077  3 O 1.95-2.08
V  0.5000  0.5000  0.0000  6 O 2.17-2.37
V  0.2956  0.7925  0.0603  6 O 2.13-2.32
V  0.8772  0.7060  0.4366  6 O 2.13-2.28
V  0.0000  0.0000  0.0000  4 O 2.12-2.36
V  0.7019  0.3223  0.4510  5 O 2.11-2.20
V  0.5000  0.0000  0.5000  4 O 2.15-2.18
V  0.2981  0.6777  0.5490  5 O 2.11-2.20
V  0.1228  0.2940  0.5634  6 O 2.13-2.28
V  0.7044  0.2075  0.9397  6 O 2.13-2.32
P  0.9752  0.3954  0.2783  4 O 1.53-1.58
P  0.3927  0.1558  0.0913  4 O 1.56-1.57
P  0.4810  0.6605  0.2912  4 O 1.53-1.58
P  0.1182  0.9484  0.3414  4 O 1.54-1.57
P  0.8818  0.0516  0.6586  4 O 1.54-1.57
P  0.5190  0.3395  0.7088  4 O 1.53-1.58
P  0.6073  0.8442  0.9087  4 O 1.56-1.57
P  0.0248  0.6046  0.7217  4 O 1.53-1.58
O  0.9604  0.3004  0.1126  1 P 1.54
O  0.6875  0.0074  0.0357  1 P 1.56
O  0.5085  0.2696  0.0377  1 P 1.56
O  0.9373  0.8904  0.3287  1 P 1.54
O  0.9138  0.5410  0.2590  1 P 1.53
O  0.6261  0.6047  0.2625  1 P 1.55
O  0.3227  0.5680  0.1304  1 P 1.58
O  0.2411  0.2168  0.0997  1 P 1.57
O  0.5000  0.8384  0.2957  1 P 1.56
O  0.8826  0.2818  0.3544  1 P 1.58
O  0.1257  0.8871  0.1722  1 P 1.57
O  0.4954  0.1416  0.2639  1 P 1.56
O  0.8248  0.8701  0.6076  1 P 1.54
O  0.8373  0.5555  0.5965  1 P 1.58
O  0.4736  0.6337  0.4505  1 P 1.53
O  0.2455  0.8860  0.4673  1 P 1.57
O  0.7545  0.1140  0.5327  1 P 1.57
O  0.5264  0.3664  0.5495  1 P 1.53
O  0.1627  0.4445  0.4035  1 P 1.58
O  0.1752  0.1299  0.3924  1 P 1.54
O  0.5046  0.8584  0.7361  1 P 1.56
O  0.8743  0.1129  0.8278  1 P 1.57
O  0.1174  0.7182  0.6456  1 P 1.58
O  0.5000  0.1616  0.7043  1 P 1.56
O  0.7589  0.7832  0.9003  1 P 1.57
O  0.6773  0.4320  0.8696  1 P 1.58
O  0.3739  0.3953  0.7375  1 P 1.55
O  0.0862  0.4590  0.7410  1 P 1.53
O  0.0627  0.1096  0.6713  1 P 1.54
O  0.4915  0.7304  0.9623  1 P 1.56
O  0.3125  0.9926  0.9643  1 P 1.56
O  0.0396  0.6996  0.8874  1 P 1.54

---

(4)
First-principles (GGA+U) data for an optimized crystal structure of Li7V3P8O29, as listed in the Materials Project.

Values from the calculation:
- Mass density: 2.6 g/cm3
- V: 12.4 Å³ per atom
- Energy above the lowest structure with this stoichiometry: 0.347 eV/f.u.
- Formation energy: -2.6855 eV/atom
- MP2020-corrected energy: -7.52 eV per atom

Cell: 9.8489 9.8511 13.9096 Å, 90.13 89.99 119.99°
Last column: nearest neighbours and their distance in Å.
Positions (direct):
Li  0.6658  0.7625  0.0608  3 O 1.92-1.99
Li  0.6708  0.9024  0.5631  4 O 1.98-2.20
Li  0.2355  0.3333  0.5613  4 O 1.99-2.08
Li  0.3388  0.6675  0.8837  1 O 1.87
Li  0.0931  0.3273  0.0616  4 O 1.97-2.11
Li  0.2285  0.9034  0.0642  4 O 1.92-2.15
Li  0.9108  0.2340  0.4357  4 O 2.00-2.15
Li  0.1037  0.7583  0.5590  3 O 1.93-2.06
Li  0.6552  0.3280  0.6121  1 O 1.86
Li  0.6791  0.3297  0.1133  1 O 1.86
Li  0.7691  0.6747  0.4381  4 O 2.02-2.18
Li  0.3218  0.2305  0.9361  4 O 1.99-2.13
Li  0.9482  0.9659  0.9964  2 O 1.99-2.06
Li  0.0625  0.0117  0.4910  2 O 1.95-2.02
V  0.0015  0.4377  0.2478  6 O 1.97-2.06
V  0.9983  0.5655  0.7547  6 O 1.86-2.03
V  0.5636  0.0014  0.7500  6 O 1.85-2.03
V  0.4329  0.9992  0.2534  6 O 1.90-2.03
V  0.5632  0.5637  0.2509  6 O 1.92-2.03
V  0.4348  0.4356  0.7488  6 O 2.02-2.06
P  0.6818  0.7772  0.8428  4 O 1.50-1.62
P  0.6863  0.9163  0.3456  4 O 1.52-1.60
P  0.2259  0.3118  0.3449  4 O 1.50-1.63
P  0.3363  0.6662  0.1257  4 O 1.51-1.59
P  0.3287  0.6679  0.6264  4 O 1.49-1.59
P  0.0876  0.3144  0.8456  4 O 1.50-1.62
P  0.9104  0.2279  0.6581  4 O 1.52-1.60
P  0.2280  0.9111  0.8451  4 O 1.51-1.60
P  0.7793  0.0863  0.1586  4 O 1.50-1.62
P  0.0853  0.7727  0.3423  4 O 1.51-1.61
P  0.9081  0.6907  0.1567  4 O 1.50-1.63
P  0.6678  0.3334  0.3705  4 O 1.50-1.60
P  0.6650  0.3311  0.8729  4 O 1.49-1.58
P  0.7743  0.6814  0.6585  4 O 1.52-1.61
P  0.3076  0.0850  0.6570  4 O 1.50-1.62
P  0.3181  0.2267  0.1594  4 O 1.51-1.60
O  0.7658  0.7666  0.5699  1 P 1.52
O  0.6672  0.7508  0.3410  1 P 1.55
O  0.7865  0.9846  0.0805  1 P 1.50
O  0.6642  0.9224  0.8334  1 P 1.53
O  0.5179  0.6303  0.8316  1 P 1.55
O  0.4866  0.6687  0.1705  1 P 1.59
O  0.3832  0.4663  0.3329  1 P 1.55
O  0.2375  0.2366  0.0694  1 P 1.51
O  0.2506  0.3303  0.8400  1 P 1.54
O  0.4799  0.8165  0.6688  1 P 1.59
O  0.5298  0.9096  0.3283  1 P 1.53
O  0.3287  0.5175  0.6598  1 P 1.55
O  0.3494  0.6674  0.0177  1 P 1.51
O  0.3190  0.6802  0.5200  1 P 1.49
O  0.1908  0.5146  0.1609  1 P 1.54
O  0.3749  0.8927  0.8309  1 P 1.56
O  0.3328  0.8142  0.1630  1 P 1.56
O  0.0842  0.3366  0.3400  1 P 1.53
O  0.9936  0.2110  0.7527  2 P 1.60-1.62
O  0.0032  0.2319  0.5702  1 P 1.52
O  0.0046  0.2308  0.9357  1 P 1.50
O  0.1064  0.4803  0.8324  1 P 1.56
O  0.1818  0.6664  0.6755  1 P 1.59
O  0.9186  0.2542  0.1536  1 P 1.53
O  0.0911  0.6230  0.3321  1 P 1.51
O  0.2525  0.9184  0.3330  1 P 1.56
O  0.8000  0.0166  0.2596  2 P 1.60-1.62
O  0.7680  0.9988  0.4379  1 P 1.52
O  0.2001  0.9818  0.5788  1 P 1.50
O  0.7449  0.0820  0.6554  1 P 1.54
O  0.8954  0.3764  0.6688  1 P 1.55
O  0.0827  0.7484  0.8406  1 P 1.53
O  0.8128  0.3255  0.3346  1 P 1.55
O  0.8946  0.5278  0.1624  1 P 1.55
O  0.0043  0.7973  0.0770  1 P 1.50
O  0.0059  0.7813  0.4341  1 P 1.52
O  0.9821  0.7856  0.2568  2 P 1.61-1.63
O  0.9241  0.6685  0.6580  1 P 1.54
O  0.6566  0.1840  0.8214  1 P 1.58
O  0.6259  0.0949  0.1676  1 P 1.56
O  0.8156  0.4743  0.8277  1 P 1.58
O  0.6743  0.3245  0.9797  1 P 1.49
O  0.6692  0.3431  0.4785  1 P 1.50
O  0.6745  0.4889  0.3299  1 P 1.60
O  0.4699  0.0958  0.6624  1 P 1.55
O  0.5180  0.1925  0.3265  1 P 1.56
O  0.7386  0.6633  0.1566  1 P 1.55
O  0.7883  0.7835  0.7519  2 P 1.61-1.62
O  0.7672  0.7826  0.9337  1 P 1.50
O  0.6317  0.5150  0.6692  1 P 1.54
O  0.5163  0.3339  0.8408  1 P 1.54
O  0.4834  0.3732  0.1731  1 P 1.56
O  0.3397  0.0818  0.1583  1 P 1.54
O  0.2357  0.9994  0.9361  1 P 1.51
O  0.2206  0.0136  0.7584  2 P 1.60-1.62
O  0.3314  0.2510  0.6534  1 P 1.53
O  0.2159  0.2222  0.4346  1 P 1.50
O  0.2105  0.2071  0.2504  2 P 1.60-1.63

---

(5)
First-principles (GGA+U) data for an optimized crystal structure of LiVP2O8, as listed in the Materials Project.

Values from the calculation:
- Mass density: 3.0 g/cm3
- V: 11.5 Å³ per atom
- Energy above the lowest structure with this stoichiometry: 0.728 eV/f.u.
- Formation energy: -2.4912 eV/atom
- MP2020-corrected energy: -7.61 eV per atom

Cell: 8.3459 4.9140 7.9123 Å, 58.38 90.00 90.00°
Last column: nearest neighbours and their distance in Å.
Positions (direct):
Li  0.5000  0.0000  0.0000  2 O 1.83
Li  0.0000  0.0000  0.5000  2 O 1.83
V  0.5000  0.5000  0.5000  6 O 1.89-1.95
V  0.0000  0.5000  0.0000  6 O 1.89-1.95
P  0.1763  0.8052  0.2427  4 O 1.48-1.58
P  0.6763  0.1948  0.2573  4 O 1.48-1.58
P  0.3237  0.8052  0.7427  4 O 1.48-1.58
P  0.8237  0.1948  0.7573  4 O 1.48-1.58
O  0.3639  0.7743  0.2721  1 P 1.58
O  0.0984  0.7434  0.4278  1 P 1.48
O  0.3752  0.5714  0.6737  1 P 1.57
O  0.1360  0.1513  0.0621  1 P 1.58
O  0.8752  0.4286  0.8263  1 P 1.57
O  0.6360  0.8487  0.4379  1 P 1.58
O  0.5984  0.2566  0.0722  1 P 1.48
O  0.8639  0.2257  0.2279  1 P 1.58
O  0.1361  0.7743  0.7721  1 P 1.58
O  0.4016  0.7434  0.9278  1 P 1.48
O  0.3640  0.1513  0.5621  1 P 1.58
O  0.1248  0.5714  0.1737  1 P 1.57
O  0.8640  0.8487  0.9379  1 P 1.58
O  0.6248  0.4286  0.3263  1 P 1.57
O  0.9016  0.2566  0.5722  1 P 1.48
O  0.6361  0.2257  0.7279  1 P 1.58